A relaxed structure of LiCrPO5, computed with GGA+U.

a b c (Å): 7.0103 6.3779 7.4642
angles (deg): 90.00 90.00 90.00
With the nearest neighbours (Å) after each atom.
Space group Pnma (No. 62)
One atom of each set of equivalent atoms:
Li 0.0000 0.0000 0.0000  6 O 2.09-2.26
Cr 0.1357 0.2500 0.2708  5 O 1.80-1.97
P 0.1264 0.7500 0.3750  4 O 1.55-1.56
O 0.0585 0.2500 0.5115  1 P 1.55
O 0.1113 0.7500 0.8133  2 Cr 1.80-1.84
O 0.1281 0.5581 0.2481  1 P 1.55
O 0.1930 0.2500 0.9967  1 P 1.56

Computed properties:
For the formation energy, the calculation gives -234.6 kJ/mol of atoms. The polymorph energy (0 for the lowest one) comes out at 0.46 kcal/mol of atoms. Its crystal system is orthorhombic. The calculation puts the total energy at -0.25604 hartree per atom.